Version w
Entry from the Materials Project: a relaxed LiSnCl3 crystal (PBE).

Computed properties:
The calculation puts the density at 2.79 Mg/m³.

Cell and atoms, written as CIF:
```
data_LiSnCl3
_chemical_formula_sum 'Li3 Sn3 Cl9'
_space_group_name_H-M_alt 'P 1'
_space_group_IT_number 1
_cell_length_a 7.123
_cell_length_b 7.123
_cell_length_c 9.443
_cell_angle_alpha 90.00
_cell_angle_beta 90.00
_cell_angle_gamma 120.00
loop_
_space_group_symop_operation_xyz
'x,y,z'
loop_
_atom_site_label
_atom_site_type_symbol
_atom_site_fract_x
_atom_site_fract_y
_atom_site_fract_z
Li1 Li 0.000 0.000 0.000
Li2 Li 0.333 0.667 0.667
Li3 Li 0.667 0.333 0.333
Sn1 Sn 0.000 0.000 0.633
Sn2 Sn 0.333 0.667 0.300
Sn3 Sn 0.667 0.333 0.967
Cl1 Cl 0.011 0.506 0.474
Cl2 Cl 0.161 0.322 0.807
Cl3 Cl 0.161 0.839 0.807
Cl4 Cl 0.345 0.172 0.141
Cl5 Cl 0.494 0.506 0.474
Cl6 Cl 0.494 0.989 0.474
Cl7 Cl 0.678 0.839 0.807
Cl8 Cl 0.828 0.172 0.141
Cl9 Cl 0.828 0.655 0.141
```

---

Version x
Entry from the Materials Project: a relaxed LiSnCl3 crystal (PBE).

Computed properties:
The calculation puts the density at 2.97 Mg/m³. The value obtained for the largest piezoelectric modulus is 1.65 C/m².

Cell and atoms, written as CIF:
```
data_LiSnCl3
_chemical_formula_sum 'Li2 Sn2 Cl6'
_space_group_name_H-M_alt 'P 1'
_space_group_IT_number 1
_cell_length_a 7.332
_cell_length_b 7.332
_cell_length_c 7.332
_cell_angle_alpha 57.04
_cell_angle_beta 57.04
_cell_angle_gamma 57.04
loop_
_space_group_symop_operation_xyz
'x,y,z'
loop_
_atom_site_label
_atom_site_type_symbol
_atom_site_fract_x
_atom_site_fract_y
_atom_site_fract_z
Li1 Li 0.000 0.000 0.000
Li2 Li 0.500 0.500 0.500
Sn1 Sn 0.196 0.196 0.196
Sn2 Sn 0.696 0.696 0.696
Cl1 Cl 0.166 0.781 0.355
Cl2 Cl 0.281 0.666 0.855
Cl3 Cl 0.355 0.166 0.781
Cl4 Cl 0.666 0.855 0.281
Cl5 Cl 0.781 0.355 0.166
Cl6 Cl 0.855 0.281 0.666
```

---

Most stable structure - version x; separation to the second - 0.011 eV/atom.

---

Version w
Entry from the Materials Project: a relaxed LiTiCl3 crystal (PBE).

Computed properties:
The calculation puts the density at 2.15 Mg/m³.

Cell and atoms, written as CIF:
```
data_LiTiCl3
_chemical_formula_sum 'Li1 Ti1 Cl3'
_space_group_name_H-M_alt 'P 1'
_space_group_IT_number 1
_cell_length_a 5.059
_cell_length_b 5.059
_cell_length_c 4.860
_cell_angle_alpha 90.00
_cell_angle_beta 90.00
_cell_angle_gamma 90.00
loop_
_space_group_symop_operation_xyz
'x,y,z'
loop_
_atom_site_label
_atom_site_type_symbol
_atom_site_fract_x
_atom_site_fract_y
_atom_site_fract_z
Li1 Li 0.000 0.000 0.000
Ti1 Ti 0.500 0.500 0.000
Cl1 Cl 0.000 0.500 0.000
Cl2 Cl 0.500 0.000 0.000
Cl3 Cl 0.500 0.500 0.500
```

---

Version x
Entry from the Materials Project: a relaxed LiTiCl3 crystal (PBE).

Computed properties:
The calculation puts the density at 1.99 Mg/m³.

Cell and atoms, written as CIF:
```
data_LiTiCl3
_chemical_formula_sum 'Li4 Ti4 Cl12'
_space_group_name_H-M_alt 'P 1'
_space_group_IT_number 1
_cell_length_a 7.443
_cell_length_b 7.443
_cell_length_c 12.345
_cell_angle_alpha 108.47
_cell_angle_beta 108.47
_cell_angle_gamma 57.46
loop_
_space_group_symop_operation_xyz
'x,y,z'
loop_
_atom_site_label
_atom_site_type_symbol
_atom_site_fract_x
_atom_site_fract_y
_atom_site_fract_z
Li1 Li 0.000 0.000 0.000
Li2 Li 0.070 0.070 0.666
Li3 Li 0.509 0.509 0.486
Li4 Li 0.605 0.605 0.175
Ti1 Ti 0.060 0.450 0.471
Ti2 Ti 0.238 0.238 0.274
Ti3 Ti 0.450 0.060 0.471
Ti4 Ti 0.789 0.789 0.750
Cl1 Cl 0.104 0.104 0.361
Cl2 Cl 0.114 0.640 0.882
Cl3 Cl 0.138 0.609 0.359
Cl4 Cl 0.364 0.918 0.111
Cl5 Cl 0.389 0.389 0.611
Cl6 Cl 0.412 0.890 0.616
Cl7 Cl 0.609 0.138 0.359
Cl8 Cl 0.640 0.114 0.882
Cl9 Cl 0.642 0.642 0.374
Cl10 Cl 0.875 0.875 0.599
Cl11 Cl 0.890 0.412 0.616
Cl12 Cl 0.918 0.364 0.111
```

---

Most stable structure - version x; separation to the second - 0.107 eV/atom.

---

Version w
Entry from the Materials Project: a relaxed LiYTl2Cl6 crystal (PBE).

Computed properties:
The calculation puts the density at 4.28 Mg/m³.

Cell and atoms, written as CIF:
```
data_LiYTl2Cl6
_chemical_formula_sum 'Li4 Y4 Tl8 Cl24'
_space_group_name_H-M_alt 'P 1'
_space_group_IT_number 1
_cell_length_a 10.239
_cell_length_b 10.268
_cell_length_c 10.593
_cell_angle_alpha 90.07
_cell_angle_beta 90.01
_cell_angle_gamma 90.00
loop_
_space_group_symop_operation_xyz
'x,y,z'
loop_
_atom_site_label
_atom_site_type_symbol
_atom_site_fract_x
_atom_site_fract_y
_atom_site_fract_z
Li1 Li 0.000 0.000 0.000
Li2 Li 0.000 0.500 0.500
Li3 Li 0.500 0.000 0.500
Li4 Li 0.500 0.500 0.000
Y1 Y 0.000 0.000 0.500
Y2 Y 0.000 0.500 0.000
Y3 Y 0.500 0.000 0.000
Y4 Y 0.500 0.500 0.500
Tl1 Tl 0.248 0.245 0.246
Tl2 Tl 0.249 0.740 0.755
Tl3 Tl 0.250 0.260 0.745
Tl4 Tl 0.251 0.755 0.253
Tl5 Tl 0.749 0.246 0.747
Tl6 Tl 0.749 0.741 0.255
Tl7 Tl 0.750 0.260 0.245
Tl8 Tl 0.751 0.755 0.754
Cl1 Cl 0.002 0.500 0.750
Cl2 Cl 0.029 0.998 0.251
Cl3 Cl 0.051 0.253 0.500
Cl4 Cl 0.051 0.753 0.000
Cl5 Cl 0.247 0.051 0.976
Cl6 Cl 0.247 0.551 0.500
Cl7 Cl 0.252 0.949 0.525
Cl8 Cl 0.253 0.449 0.000
Cl9 Cl 0.449 0.247 0.499
Cl10 Cl 0.449 0.748 0.999
Cl11 Cl 0.471 0.001 0.249
Cl12 Cl 0.497 0.500 0.750
Cl13 Cl 0.502 0.501 0.250
Cl14 Cl 0.529 0.000 0.751
Cl15 Cl 0.551 0.253 0.001
Cl16 Cl 0.551 0.753 0.501
Cl17 Cl 0.747 0.551 0.000
Cl18 Cl 0.748 0.050 0.475
Cl19 Cl 0.752 0.950 0.025
Cl20 Cl 0.753 0.449 0.500
Cl21 Cl 0.949 0.247 0.001
Cl22 Cl 0.949 0.748 0.501
Cl23 Cl 0.971 0.002 0.749
Cl24 Cl 0.997 0.500 0.250
```

---

Version x
Entry from the Materials Project: a relaxed LiYTl2Cl6 crystal (PBE).

Computed properties:
The calculation puts the density at 4.26 Mg/m³.

Cell and atoms, written as CIF:
```
data_LiYTl2Cl6
_chemical_formula_sum 'Li4 Y4 Tl8 Cl24'
_space_group_name_H-M_alt 'P 1'
_space_group_IT_number 1
_cell_length_a 10.380
_cell_length_b 10.380
_cell_length_c 10.380
_cell_angle_alpha 90.00
_cell_angle_beta 90.00
_cell_angle_gamma 90.00
loop_
_space_group_symop_operation_xyz
'x,y,z'
loop_
_atom_site_label
_atom_site_type_symbol
_atom_site_fract_x
_atom_site_fract_y
_atom_site_fract_z
Tl1 Tl 0.750 0.250 0.250
Tl2 Tl 0.250 0.250 0.750
Tl3 Tl 0.750 0.250 0.750
Tl4 Tl 0.250 0.250 0.250
Tl5 Tl 0.750 0.750 0.750
Tl6 Tl 0.750 0.750 0.250
Tl7 Tl 0.250 0.750 0.750
Tl8 Tl 0.250 0.750 0.250
Cl1 Cl 0.753 0.500 0.000
Cl2 Cl 0.753 0.000 0.500
Cl3 Cl 0.500 0.500 0.747
Cl4 Cl 0.500 0.000 0.753
Cl5 Cl 0.253 0.500 0.500
Cl6 Cl 0.000 0.000 0.253
Cl7 Cl 0.000 0.247 0.500
Cl8 Cl 0.253 0.000 0.000
Cl9 Cl 0.500 0.000 0.247
Cl10 Cl 0.500 0.247 0.000
Cl11 Cl 0.500 0.253 0.500
Cl12 Cl 0.000 0.000 0.747
Cl13 Cl 0.000 0.500 0.247
Cl14 Cl 0.000 0.500 0.753
Cl15 Cl 0.747 0.000 0.000
Cl16 Cl 0.000 0.753 0.500
Cl17 Cl 0.000 0.253 0.000
Cl18 Cl 0.000 0.747 0.000
Cl19 Cl 0.500 0.747 0.500
Cl20 Cl 0.500 0.500 0.253
Cl21 Cl 0.247 0.000 0.500
Cl22 Cl 0.500 0.753 0.000
Cl23 Cl 0.247 0.500 0.000
Cl24 Cl 0.747 0.500 0.500
Li1 Li 0.500 0.500 0.500
Li2 Li 0.000 0.000 0.500
Li3 Li 0.000 0.500 0.000
Li4 Li 0.500 0.000 0.000
Y1 Y 0.000 0.500 0.500
Y2 Y 0.500 0.500 0.000
Y3 Y 0.500 0.000 0.500
Y4 Y 0.000 0.000 0.000
```

---

Most stable structure - version w; separation to the second - 0.011 eV/atom.